Record 1
! PBE+U AlV2O4, optimized geometry; values from VASP
! Energy above the most stable polymorph in this dataset ... 9 meV/atom
! Calculated total energy ... -7.8359 eV/atom
! Magnetic moment ... 1.00 μB/f.u.
! Energy of formation from the pure elements ... -266 kJ/mol of atoms
&SYSTEM
  ibrav = 0, nat = 28, ntyp = 3
/
ATOMIC_SPECIES
Al 26.98 Al.upf
V 50.94 V.upf
O 16.00 O.upf
ATOMIC_POSITIONS angstrom
Al 1.682 0.000 0.592
Al 1.693 0.045 4.333
Al 5.098 0.045 5.486
Al 5.108 0.000 9.227
V 4.207 1.521 2.462
V -0.022 0.026 7.362
V 2.583 1.521 7.356
V 5.098 -0.035 0.000
V 4.244 -1.429 2.454
V 2.547 -1.429 7.365
V 6.813 0.026 2.457
V 3.395 -2.874 4.909
O -0.016 0.019 3.732
O 2.568 1.511 3.710
O -1.733 -0.015 8.614
O 0.911 1.485 8.607
O 1.710 0.103 6.129
O 3.373 0.046 1.194
O 5.880 1.485 1.211
O 4.223 1.511 6.108
O 5.080 0.103 3.690
O 2.526 -1.421 3.732
O 3.418 0.046 8.624
O 0.840 -1.468 8.650
O 4.265 -1.421 6.086
O 6.806 0.019 6.086
O 5.951 -1.468 1.169
O 8.524 -0.015 1.205
CELL_PARAMETERS angstrom
5.098 -2.958 0.000
5.098 2.958 0.000
-3.405 0.000 9.819

Record 2
! PBE+U P4WO12, optimized geometry; values from VASP
! Energy above the most stable polymorph in this dataset ... 8 meV/atom
! Calculated total energy ... -7.2547 eV/atom
! Piezoelectric modulus e_max ... 0.14 C/m²
! Energy of formation from the pure elements ... -239 kJ/mol of atoms
&SYSTEM
  ibrav = 0, nat = 34, ntyp = 3
/
ATOMIC_SPECIES
P 30.97 P.upf
W 183.84 W.upf
O 16.00 O.upf
ATOMIC_POSITIONS angstrom
P -0.014 0.000 0.410
P 0.103 3.051 0.438
P 0.128 11.029 4.265
P 0.550 6.208 4.370
P 3.791 13.145 2.841
P 4.212 4.092 2.946
P 4.238 9.988 6.772
P 4.354 6.937 6.801
W 1.616 11.914 7.182
W 2.725 4.977 0.029
O -0.226 13.668 1.960
O -0.090 3.206 2.000
O -0.727 8.479 7.091
O -0.185 5.373 3.228
O 0.854 10.844 0.343
O 0.562 10.256 3.109
O 1.017 6.173 0.417
O 1.448 13.618 0.064
O 1.570 3.254 0.089
O 1.339 7.316 3.829
O 1.185 11.626 5.222
O 1.261 5.186 5.285
O 3.079 12.123 1.926
O 3.156 4.689 1.988
O 3.002 0.379 3.382
O 2.770 10.191 7.121
O 2.892 6.681 7.147
O 3.323 13.110 6.793
O 3.778 3.319 4.102
O 3.486 3.907 6.868
O 4.526 12.311 3.982
O 5.067 1.542 0.119
O 4.430 10.143 5.211
O 4.567 6.730 5.251
CELL_PARAMETERS angstrom
5.341 0.000 0.000
0.000 13.874 0.000
-1.000 0.000 7.210

Record 3
! PBE+U Li4VTe3O12, optimized geometry; values from VASP
! Energy above the most stable polymorph in this dataset ... 5 meV/atom
! Calculated total energy ... -5.7098 eV/atom
! Piezoelectric modulus e_max ... 3.73 C/m²
! Magnetic moment ... 1.00 μB/f.u.
! Energy of formation from the pure elements ... -186 kJ/mol of atoms
&SYSTEM
  ibrav = 0, nat = 20, ntyp = 4
/
ATOMIC_SPECIES
Li 6.94 Li.upf
V 50.94 V.upf
Te 127.60 Te.upf
O 16.00 O.upf
ATOMIC_POSITIONS angstrom
Li 0.000 0.000 0.000
Li -0.136 2.934 2.608
Li 2.388 4.221 2.608
Li 2.524 7.772 0.000
V 2.388 0.735 2.608
Te 0.000 5.126 0.000
Te -0.136 6.891 2.608
Te 2.524 2.296 0.000
O 0.780 6.748 4.335
O 0.990 5.469 1.845
O 1.108 8.200 1.853
O 1.179 3.600 4.281
O 1.409 2.166 1.622
O 1.324 0.806 4.276
O 3.452 0.806 0.941
O 3.367 2.166 3.595
O 3.597 3.600 0.935
O 3.667 8.200 3.364
O 3.785 5.469 3.372
O 3.996 6.748 0.882
CELL_PARAMETERS angstrom
5.048 0.000 0.000
0.000 8.748 0.000
-0.273 0.000 5.217

Record 4
! PBE+U Al4FeSi2O12, optimized geometry; values from VASP
! Calculated total energy ... -7.3580 eV/atom
! Magnetic moment ... 4.00 μB/f.u.
! Energy of formation from the pure elements ... -288 kJ/mol of atoms
&SYSTEM
  ibrav = 0, nat = 38, ntyp = 4
/
ATOMIC_SPECIES
Al 26.98 Al.upf
Fe 55.84 Fe.upf
Si 28.09 Si.upf
O 16.00 O.upf
ATOMIC_POSITIONS angstrom
Al 7.045 2.129 4.231
Al 9.967 2.129 4.231
Al 5.561 0.000 0.000
Al 5.561 0.000 2.820
Al 11.451 0.000 0.000
Al 11.451 0.000 2.820
Al 7.045 -2.129 1.410
Al 9.967 -2.129 1.410
Fe 8.506 0.977 1.410
Fe 8.506 -0.977 4.231
Si 2.875 1.061 4.231
Si 2.875 -1.061 1.410
Si 14.137 1.061 4.231
Si 14.137 -1.061 1.410
O 1.649 0.002 1.410
O 1.649 -0.002 4.231
O 5.766 1.902 0.081
O 5.766 1.902 2.740
O 4.310 0.214 4.231
O 8.506 1.932 3.015
O 8.506 1.932 5.446
O 4.310 -0.214 1.410
O 6.864 0.155 4.231
O 11.246 1.902 0.081
O 11.246 1.902 2.740
O 6.864 -0.155 1.410
O 10.148 0.155 4.231
O 5.766 -1.902 2.901
O 5.766 -1.902 5.560
O 10.148 -0.155 1.410
O 12.702 0.214 4.231
O 8.506 -1.932 0.195
O 8.506 -1.932 2.625
O 12.702 -0.214 1.410
O 11.246 -1.902 2.901
O 11.246 -1.902 5.560
O 15.363 0.002 1.410
O 15.363 -0.002 4.231
CELL_PARAMETERS angstrom
8.506 -3.937 0.000
8.506 3.937 0.000
0.000 0.000 5.641

Record 5
! PBE+U MgV3SnO8, optimized geometry; values from VASP
! Energy above the most stable polymorph in this dataset ... 45 meV/atom
! Calculated total energy ... -7.0995 eV/atom
! Magnetic moment ... 4.99 μB/f.u.
! Energy of formation from the pure elements ... -226 kJ/mol of atoms
&SYSTEM
  ibrav = 0, nat = 13, ntyp = 4
/
ATOMIC_SPECIES
Mg 24.30 Mg.upf
V 50.94 V.upf
Sn 118.71 Sn.upf
O 16.00 O.upf
ATOMIC_POSITIONS angstrom
Mg 0.000 0.000 0.000
V 4.272 0.000 1.873
V 6.141 0.000 4.274
V 8.168 0.000 1.716
Sn 2.323 0.000 4.607
O 0.190 0.000 4.794
O 2.108 0.000 2.088
O 3.206 0.000 6.410
O 4.203 0.000 3.881
O 6.238 0.000 2.316
O 7.563 0.000 0.039
O 8.246 0.000 4.012
O 10.108 0.000 1.582
CELL_PARAMETERS angstrom
6.356 -1.891 0.000
6.356 1.891 0.000
-1.759 0.000 6.522

Record 6
! PBE+U Li2VSi6O15, optimized geometry; values from VASP
! Energy above the most stable polymorph in this dataset ... 31 meV/atom
! Calculated total energy ... -7.5064 eV/atom
! Magnetic moment ... 1.00 μB/f.u.
! Energy of formation from the pure elements ... -291 kJ/mol of atoms
&SYSTEM
  ibrav = 0, nat = 48, ntyp = 4
/
ATOMIC_SPECIES
Li 6.94 Li.upf
V 50.94 V.upf
Si 28.09 Si.upf
O 16.00 O.upf
ATOMIC_POSITIONS angstrom
Li 1.992 7.431 -2.501
Li 1.992 0.068 2.501
Li -1.992 7.296 2.501
Li 1.992 7.296 2.501
V 0.000 0.000 0.000
V 0.000 7.364 0.000
Si 2.491 2.145 -0.361
Si 5.477 2.145 -0.361
Si 2.491 5.219 -0.361
Si 1.493 -2.145 4.641
Si 3.984 2.192 2.273
Si 0.000 2.192 2.729
Si 3.984 5.172 2.273
Si 0.000 5.172 2.729
Si 2.491 9.508 0.361
Si 1.493 2.145 5.362
Si -1.493 5.219 5.362
Si 1.493 5.219 5.362
O 1.421 -1.059 0.881
O 6.547 -1.059 0.881
O 3.984 1.846 -1.013
O 2.043 3.682 -0.712
O 5.924 3.682 -0.712
O 0.000 1.009 1.659
O 2.676 1.998 1.282
O 5.292 1.998 1.282
O 3.984 5.518 -1.013
O 1.421 6.305 -0.881
O 2.563 -1.059 4.121
O 3.984 1.009 3.343
O 0.000 3.682 2.074
O 2.676 5.366 1.282
O 1.308 -1.998 6.284
O 2.676 9.361 -1.282
O 1.308 1.998 3.719
O 3.984 3.682 2.927
O 0.000 6.355 1.659
O 1.421 8.422 0.881
O 2.563 1.059 5.883
O 0.000 1.846 6.015
O -1.308 5.366 3.719
O 1.308 5.366 3.719
O 3.984 6.355 3.343
O -1.940 3.682 5.714
O 1.940 3.682 5.714
O 0.000 5.518 6.015
O -2.563 8.422 4.121
O 2.563 8.422 4.121
CELL_PARAMETERS angstrom
-3.984 7.364 5.002
3.984 -7.364 5.002
3.984 7.364 -5.002

Record 7
! PBE+U Zn2CrWO6, optimized geometry; values from VASP
! Energy above the most stable polymorph in this dataset ... 16 meV/atom
! Calculated total energy ... -6.4198 eV/atom
! Magnetic moment ... 4.00 μB/f.u.
! Energy of formation from the pure elements ... -192 kJ/mol of atoms
&SYSTEM
  ibrav = 0, nat = 20, ntyp = 4
/
ATOMIC_SPECIES
Zn 65.41 Zn.upf
Cr 52.00 Cr.upf
W 183.84 W.upf
O 16.00 O.upf
ATOMIC_POSITIONS angstrom
Zn 0.059 0.154 1.931
Zn 2.590 2.799 1.926
Zn 2.703 2.498 5.785
Zn 5.234 5.143 5.780
Cr 0.022 2.649 3.856
Cr 2.624 0.000 0.000
W 0.001 2.643 0.000
W 2.645 0.005 3.856
O 0.616 2.195 1.923
O 0.947 0.943 7.184
O 0.952 0.919 4.323
O 1.734 3.567 7.243
O 1.737 3.584 4.377
O 2.036 4.840 1.932
O 3.257 0.457 5.779
O 3.557 1.713 3.334
O 3.559 1.730 0.468
O 4.342 4.378 3.388
O 4.346 4.354 0.527
O 4.678 3.102 5.788
CELL_PARAMETERS angstrom
5.249 0.000 0.000
0.003 5.287 0.000
0.042 0.010 7.711

Record 8
! PBE+U BaV2Cu2O8, optimized geometry; values from VASP
! Calculated total energy ... -6.6582 eV/atom
! Magnetic moment ... 2.00 μB/f.u.
! Energy of formation from the pure elements ... -205 kJ/mol of atoms
&SYSTEM
  ibrav = 0, nat = 52, ntyp = 4
/
ATOMIC_SPECIES
Ba 137.33 Ba.upf
V 50.94 V.upf
Cu 63.55 Cu.upf
O 16.00 O.upf
ATOMIC_POSITIONS angstrom
Ba 0.000 0.000 0.000
Ba 6.551 0.000 2.052
Ba 0.000 0.000 4.104
Ba 0.000 6.551 2.052
V 3.275 5.240 -1.026
V 0.636 3.275 1.026
V 7.862 3.275 1.026
V 3.275 1.311 3.078
V -3.275 5.915 3.078
V -0.636 9.826 1.026
V -1.311 3.275 5.130
V 3.275 7.187 3.078
Cu 2.316 -2.052 1.992
Cu 4.499 2.316 -0.060
Cu 4.235 -2.052 4.164
Cu 4.235 8.603 -2.112
Cu 4.499 4.235 2.112
Cu 2.316 8.603 0.060
Cu 2.052 4.235 4.043
Cu 2.052 2.316 6.216
O 4.480 0.355 -0.207
O 8.879 -2.285 1.881
O 6.906 4.480 -2.259
O 4.266 -2.328 2.223
O 10.698 1.634 0.104
O 1.634 2.404 -0.104
O 6.852 2.117 0.287
O 4.434 6.250 -1.765
O 8.836 4.223 -0.171
O 2.117 0.301 2.338
O 4.223 4.266 0.171
O 6.196 -2.071 4.311
O -0.355 2.071 1.845
O 4.223 2.285 1.881
O 2.117 6.250 -0.287
O 8.836 2.328 2.223
O 4.434 0.301 3.817
O 6.852 4.434 1.765
O 1.634 4.147 2.156
O -2.404 4.917 1.947
O -2.285 2.328 3.933
O 0.355 8.622 0.207
O 2.328 2.285 4.275
O 4.480 6.196 2.259
O 2.071 0.355 6.363
O 4.917 4.147 3.999
O 2.404 8.185 1.947
O -0.301 4.434 4.390
O -0.301 2.117 5.869
O -4.147 4.917 4.208
O -1.634 8.955 2.156
O 2.071 6.196 3.896
CELL_PARAMETERS angstrom
-6.551 6.551 4.104
6.551 -6.551 4.104
6.551 6.551 -4.104

Record 9
! PBE+U Ba2WO6, optimized geometry; values from VASP
! Calculated total energy ... -6.6161 eV/atom
! Magnetic moment ... 2.00 μB/f.u.
! Energy of formation from the pure elements ... -232 kJ/mol of atoms
&SYSTEM
  ibrav = 0, nat = 36, ntyp = 3
/
ATOMIC_SPECIES
Ba 137.33 Ba.upf
W 183.84 W.upf
O 16.00 O.upf
ATOMIC_POSITIONS angstrom
Ba 0.971 2.081 0.282
Ba -1.302 2.934 4.367
Ba -1.769 6.508 7.709
Ba 0.504 8.537 3.624
Ba 2.727 1.493 4.546
Ba 5.000 3.522 0.461
Ba 4.533 7.096 3.803
Ba 2.260 7.950 7.888
W 0.982 5.134 2.550
W -1.290 9.912 6.635
W 4.522 0.118 1.535
W 2.249 4.897 5.620
O -2.641 1.059 5.996
O -0.368 3.957 1.911
O -0.715 5.708 3.615
O -2.988 9.338 7.700
O 0.819 6.641 1.469
O -1.454 8.404 5.554
O 0.904 0.941 2.646
O -1.369 4.074 6.731
O 0.075 0.685 5.668
O 2.348 4.330 1.584
O 3.563 1.188 0.132
O 1.290 3.827 4.217
O 1.941 6.204 3.953
O -0.332 8.842 8.038
O 0.883 5.701 6.586
O 3.156 9.345 2.501
O 4.600 5.957 1.439
O 2.327 9.089 5.524
O 4.685 1.626 2.616
O 2.412 3.389 6.701
O 6.219 0.693 0.470
O 3.946 4.322 4.555
O 3.599 6.074 6.259
O 5.872 8.972 2.174
CELL_PARAMETERS angstrom
7.777 0.000 0.000
0.000 10.030 0.000
-4.546 0.000 8.170

Record 10
! PBE+U Fe2Se2O7, optimized geometry; values from VASP
! Calculated total energy ... -5.4060 eV/atom
! Magnetic moment ... 0.01 μB/f.u.
! Energy of formation from the pure elements ... -90 kJ/mol of atoms
&SYSTEM
  ibrav = 0, nat = 88, ntyp = 3
/
ATOMIC_SPECIES
Fe 55.84 Fe.upf
Se 78.96 Se.upf
O 16.00 O.upf
ATOMIC_POSITIONS angstrom
Fe 0.215 1.587 0.369
Fe 0.215 4.948 7.275
Fe 1.695 3.268 2.909
Fe 1.695 3.268 9.815
Fe 1.695 9.803 4.634
Fe 1.695 9.803 11.540
Fe 3.174 1.587 7.275
Fe 3.174 4.948 0.369
Fe 3.605 8.122 13.443
Fe 3.605 11.484 6.537
Fe 5.084 3.268 2.272
Fe 5.084 3.268 9.178
Fe 5.084 9.803 3.997
Fe 5.084 9.803 10.904
Fe 6.564 8.122 6.537
Fe 6.564 11.484 13.443
Se 0.081 7.215 9.897
Se 0.081 12.390 2.991
Se 0.178 8.299 0.493
Se 0.178 11.306 7.399
Se 3.211 8.299 7.399
Se 3.211 11.306 0.493
Se 3.309 7.215 2.991
Se 3.309 12.390 9.897
Se 3.471 0.680 3.915
Se 3.471 5.855 10.821
Se 3.568 1.764 13.320
Se 3.568 4.771 6.414
Se 6.601 1.764 6.414
Se 6.601 4.771 13.320
Se 6.698 0.680 10.821
Se 6.698 5.855 3.915
O 0.123 3.122 12.964
O 0.123 3.413 6.058
O 0.137 6.878 8.153
O 0.137 12.728 1.247
O 0.152 2.666 2.016
O 0.152 3.870 8.922
O 1.167 1.331 7.415
O 1.167 5.204 0.509
O 1.323 8.368 10.110
O 1.323 11.238 3.204
O 1.372 1.625 10.779
O 1.372 4.911 3.873
O 1.456 8.340 13.077
O 1.456 11.265 6.171
O 1.933 8.340 6.171
O 1.933 11.265 13.077
O 2.018 1.625 3.873
O 2.018 4.911 10.779
O 2.067 8.368 3.204
O 2.067 11.238 10.110
O 2.223 1.331 0.509
O 2.223 5.204 7.415
O 3.237 2.666 8.922
O 3.237 3.870 2.016
O 3.253 6.878 1.247
O 3.253 12.728 8.153
O 3.266 3.122 6.058
O 3.266 3.413 12.964
O 3.513 9.657 0.848
O 3.513 9.949 7.754
O 3.526 0.343 5.659
O 3.526 6.192 12.565
O 3.542 9.201 11.796
O 3.542 10.405 4.890
O 4.557 7.866 6.397
O 4.557 11.739 13.303
O 4.713 1.833 3.702
O 4.713 4.702 10.608
O 4.761 8.160 3.033
O 4.761 11.446 9.939
O 4.846 1.805 0.735
O 4.846 4.730 7.641
O 5.323 1.805 7.641
O 5.323 4.730 0.735
O 5.408 8.160 9.939
O 5.408 11.446 3.033
O 5.456 1.833 10.608
O 5.456 4.702 3.702
O 5.612 7.866 13.303
O 5.612 11.739 6.397
O 6.627 9.201 4.890
O 6.627 10.405 11.796
O 6.643 0.343 12.565
O 6.643 6.192 5.659
O 6.656 9.657 7.754
O 6.656 9.949 0.848
CELL_PARAMETERS angstrom
6.779 0.000 0.000
0.000 13.070 0.000
0.000 0.000 13.812

calculated total energy of number 7 (Zn2CrWO6)? -6.4198 eV/atom

Repeat the fifth record exactly.
! PBE+U MgV3SnO8, optimized geometry; values from VASP
! Energy above the most stable polymorph in this dataset ... 45 meV/atom
! Calculated total energy ... -7.0995 eV/atom
! Magnetic moment ... 4.99 μB/f.u.
! Energy of formation from the pure elements ... -226 kJ/mol of atoms
&SYSTEM
  ibrav = 0, nat = 13, ntyp = 4
/
ATOMIC_SPECIES
Mg 24.30 Mg.upf
V 50.94 V.upf
Sn 118.71 Sn.upf
O 16.00 O.upf
ATOMIC_POSITIONS angstrom
Mg 0.000 0.000 0.000
V 4.272 0.000 1.873
V 6.141 0.000 4.274
V 8.168 0.000 1.716
Sn 2.323 0.000 4.607
O 0.190 0.000 4.794
O 2.108 0.000 2.088
O 3.206 0.000 6.410
O 4.203 0.000 3.881
O 6.238 0.000 2.316
O 7.563 0.000 0.039
O 8.246 0.000 4.012
O 10.108 0.000 1.582
CELL_PARAMETERS angstrom
6.356 -1.891 0.000
6.356 1.891 0.000
-1.759 0.000 6.522